The following is a PBE calculation of a geometry-optimized Re2AuSe structure, from the Materials Project database.

The calculation puts the density at 16.24 g cm⁻³. As for the total magnetic moment: 0.001 μB per atom. For the energy relative to the elements, the calculation gives 776 meV per atom.

a = 6.4242 Å, b = 6.4242 Å, c = 6.4242 Å
α = 90.00°, β = 90.00°, γ = 90.00°
Closest atoms and distances in Å follow each position.
Space group F-43m (No. 216)
Symmetry-distinct sites (fractional):
Re: 0.0000 0.0000 0.0000 (multiplicity 4)  4 Re 2.78, 4 Au 2.78
Re: 0.2500 0.2500 0.2500 (multiplicity 4)  4 Se 2.78, 4 Re 2.78
Au: 0.2500 0.2500 0.7500 (multiplicity 4)  4 Se 2.78, 4 Re 2.78
Se: 0.0000 0.0000 0.5000 (multiplicity 4)  4 Re 2.78, 4 Au 2.78